DFT (PBE) results for crystalline TbCo9Si2 at its relaxed geometry.

Corrected total energy (MP2020 scheme) = -6.926 eV per atom
Energy of formation from the pure elements = -304.3 meV per atom
Energy = -6.9377 eV/atom

```
TbCo9Si2
1.0
0.000 0.000 6.261
-4.833 4.833 3.131
-4.833 -4.833 3.131
Co Si Tb
18 4 2
Direct
0.440 0.833 0.921
0.273 0.921 0.667
0.139 0.667 0.921
0.273 0.167 0.421
0.440 0.421 0.333
0.125 0.750 0.250
0.875 0.250 0.750
0.727 0.079 0.333
0.861 0.579 0.833
0.194 0.667 0.579
0.139 0.421 0.167
0.861 0.333 0.079
0.560 0.167 0.079
0.806 0.921 0.833
0.560 0.579 0.667
0.806 0.333 0.421
0.194 0.079 0.167
0.727 0.833 0.579
0.000 0.500 0.500
0.500 0.500 0.000
0.000 0.000 0.500
0.000 0.000 0.000
0.375 0.250 0.750
0.625 0.750 0.250
```